# Mg3Cu2As3O12 | the Materials Project database | GGA-PBE | relaxed
# - Total magnetic moment: 4.0 μB/cell
# - MP2020-corrected energy: -6.37 eV per atom
# - ΔE_f: -198 kJ per mole of atoms
data_Mg3Cu2As3O12
_cell_length_a 12.062
_cell_length_b 13.049
_cell_length_c 6.823
_cell_angle_alpha 90.00
_cell_angle_beta 113.00
_cell_angle_gamma 90.00
_symmetry_space_group_name_H-M 'C 1 2/c 1'
_symmetry_Int_Tables_number 15
loop_
_symmetry_equiv_pos_as_xyz
'x,y,z'
'-x,-y,-z'
'-x,y,-z+1/2'
'x,-y,z+1/2'
'x+1/2,y+1/2,z'
'-x+1/2,-y+1/2,-z'
'-x+1/2,y+1/2,-z+1/2'
'x+1/2,-y+1/2,z+1/2'
loop_
_atom_site_label
_atom_site_fract_x
_atom_site_fract_y
_atom_site_fract_z
Mg1 0.000 0.243 0.250
Mg2 0.213 0.343 0.121
Cu1 0.000 0.003 0.750
Cu2 0.000 0.500 0.000
As1 0.000 0.213 0.750
As2 0.232 0.382 0.623
O1 0.035 0.284 0.978
O2 0.107 0.119 0.765
O3 0.115 0.110 0.315
O4 0.161 0.327 0.377
O5 0.169 0.497 0.111
O6 0.215 0.311 0.821

=====

# MgZn2CuAs2O8 | the Materials Project database | GGA-PBE | relaxed
# - Total magnetic moment: 0.0 μB/cell
# - MP2020-corrected energy: -5.66 eV per atom
# - ΔE_f: -153 kJ per mole of atoms
data_MgZn2CuAs2O8
_cell_length_a 5.355
_cell_length_b 5.488
_cell_length_c 8.155
_cell_angle_alpha 73.30
_cell_angle_beta 81.48
_cell_angle_gamma 65.71
_symmetry_space_group_name_H-M 'P -1'
_symmetry_Int_Tables_number 2
loop_
_symmetry_equiv_pos_as_xyz
'x,y,z'
'-x,-y,-z'
loop_
_atom_site_label
_atom_site_fract_x
_atom_site_fract_y
_atom_site_fract_z
Mg1 0.000 0.000 0.000
Zn1 0.244 0.266 0.251
Cu1 0.500 0.500 0.500
As1 0.133 0.147 0.684
O1 0.034 0.362 0.829
O2 0.157 0.952 0.249
O3 0.289 0.299 0.494
O4 0.366 0.860 0.823

=====

# MnCuAs | the Materials Project database | GGA-PBE | relaxed
# - Total magnetic moment: 7.2 μB/cell
# - ΔE_f: -1 kJ per mole of atoms
data_MnCuAs
_cell_length_a 3.699
_cell_length_b 3.699
_cell_length_c 6.408
_cell_angle_alpha 90.00
_cell_angle_beta 90.00
_cell_angle_gamma 90.00
_symmetry_space_group_name_H-M 'P 4/n m m'
_symmetry_Int_Tables_number 129
loop_
_symmetry_equiv_pos_as_xyz
'x,y,z'
'-x,-y,-z'
'-y+1/2,x,z'
'y+1/2,-x,-z'
'-x+1/2,-y+1/2,z'
'x+1/2,y+1/2,-z'
'y,-x+1/2,z'
'-y,x+1/2,-z'
'x+1/2,-y,-z'
'-x+1/2,y,z'
'-y,-x,-z'
'y,x,z'
'-x,y+1/2,-z'
'x,-y+1/2,z'
'y+1/2,x+1/2,-z'
'-y+1/2,-x+1/2,z'
loop_
_atom_site_label
_atom_site_fract_x
_atom_site_fract_y
_atom_site_fract_z
Mn1 0.250 0.250 0.164
Cu1 0.250 0.750 0.500
As1 0.250 0.250 0.776

=====

| no. | E_tot (hartree per atom) |
| --- | --- |
| 1 | -0.2189 |
| 2 | -0.1937 |
| 3 | -0.2200 |